No. 1
! Na6Y4Mg4SiS11O48 (PBE-GGA, optimized geometry); values from VASP
&SYSTEM
  ibrav = 0, nat = 222, ntyp = 6
/
ATOMIC_SPECIES
Na 22.99 Na.upf
Y 88.91 Y.upf
Mg 24.30 Mg.upf
Si 28.09 Si.upf
S 32.06 S.upf
O 16.00 O.upf
ATOMIC_POSITIONS crystal
Na 0.000 0.000 0.000
Na 0.000 0.004 0.498
Na 0.001 0.337 0.170
Na 0.002 0.673 0.836
Na 0.176 0.822 0.252
Na 0.314 0.691 0.750
Na 0.334 0.320 0.749
Na 0.360 0.995 0.748
Na 0.488 0.836 0.663
Na 0.495 0.177 0.329
Na 0.499 0.505 0.005
Na 0.500 0.502 0.498
Na 0.515 0.175 0.834
Na 0.519 0.830 0.164
Na 0.642 0.998 0.246
Na 0.830 0.820 0.752
Na 0.976 0.337 0.662
Na 0.989 0.669 0.329
Y 0.001 0.669 0.478
Y 0.003 0.994 0.853
Y 0.005 0.998 0.647
Y 0.499 0.499 0.350
Y 0.500 0.170 0.479
Y 0.504 0.499 0.851
Y 0.510 0.499 0.646
Y 0.983 0.336 0.816
Y 0.989 0.669 0.181
Y 0.991 0.000 0.146
Y 0.998 0.334 0.021
Y 0.999 0.001 0.351
Mg 0.000 0.335 0.516
Mg 0.000 0.671 0.983
Mg 0.001 0.671 0.680
Mg 0.002 0.336 0.315
Mg 0.488 0.836 0.822
Mg 0.499 0.167 0.984
Mg 0.499 0.175 0.179
Mg 0.500 0.835 0.516
Mg 0.501 0.500 0.148
Mg 0.501 0.835 0.016
Mg 0.513 0.831 0.316
Mg 0.514 0.174 0.680
Si 0.155 0.848 0.748
Si 0.646 0.347 0.747
Si 0.843 0.851 0.251
S 0.140 0.196 0.416
S 0.141 0.476 0.416
S 0.153 0.150 0.748
S 0.155 0.524 0.081
S 0.155 0.814 0.079
S 0.201 0.505 0.747
S 0.218 0.168 0.082
S 0.220 0.836 0.415
S 0.296 0.673 0.583
S 0.300 0.331 0.917
S 0.302 0.004 0.249
S 0.343 0.314 0.583
S 0.349 0.692 0.917
S 0.350 0.353 0.246
S 0.357 0.650 0.247
S 0.360 0.020 0.583
S 0.363 0.983 0.917
S 0.637 0.024 0.081
S 0.637 0.314 0.083
S 0.640 0.693 0.416
S 0.641 0.977 0.416
S 0.653 0.653 0.749
S 0.698 0.003 0.749
S 0.699 0.668 0.078
S 0.720 0.336 0.416
S 0.785 0.831 0.917
S 0.794 0.496 0.248
S 0.796 0.173 0.582
S 0.842 0.185 0.918
S 0.843 0.814 0.583
S 0.848 0.155 0.249
S 0.858 0.490 0.919
S 0.862 0.521 0.582
O 0.066 0.892 0.802
O 0.075 0.107 0.413
O 0.075 0.564 0.419
O 0.076 0.754 0.740
O 0.079 0.114 0.697
O 0.083 0.236 0.468
O 0.083 0.436 0.364
O 0.084 0.769 0.031
O 0.084 0.901 0.083
O 0.086 0.436 0.076
O 0.089 0.561 0.133
O 0.098 0.240 0.755
O 0.104 0.580 0.739
O 0.109 0.244 0.364
O 0.110 0.427 0.468
O 0.116 0.424 0.755
O 0.119 0.092 0.086
O 0.119 0.246 0.079
O 0.120 0.576 0.030
O 0.120 0.759 0.419
O 0.122 0.914 0.414
O 0.123 0.098 0.799
O 0.128 0.768 0.133
O 0.133 0.914 0.695
O 0.181 0.322 0.576
O 0.185 0.682 0.923
O 0.186 0.345 0.254
O 0.192 0.660 0.242
O 0.194 0.012 0.585
O 0.196 0.993 0.913
O 0.198 0.342 0.965
O 0.200 0.660 0.532
O 0.204 0.681 0.635
O 0.206 0.989 0.199
O 0.210 0.021 0.300
O 0.214 0.322 0.863
O 0.293 0.522 0.799
O 0.297 0.490 0.697
O 0.305 0.827 0.362
O 0.306 0.185 0.419
O 0.307 0.160 0.030
O 0.307 0.178 0.134
O 0.307 0.487 0.412
O 0.312 0.843 0.466
O 0.317 0.153 0.740
O 0.317 0.824 0.072
O 0.318 0.514 0.088
O 0.335 0.840 0.758
O 0.376 0.264 0.635
O 0.378 0.739 0.863
O 0.381 0.409 0.197
O 0.383 0.599 0.300
O 0.389 0.751 0.577
O 0.390 0.073 0.533
O 0.390 0.924 0.257
O 0.391 0.411 0.914
O 0.391 0.595 0.587
O 0.393 0.927 0.966
O 0.395 0.254 0.924
O 0.405 0.078 0.241
O 0.411 0.402 0.586
O 0.412 0.274 0.532
O 0.416 0.735 0.966
O 0.417 0.391 0.299
O 0.418 0.061 0.636
O 0.418 0.605 0.912
O 0.418 0.738 0.255
O 0.419 0.266 0.240
O 0.419 0.945 0.863
O 0.422 0.608 0.198
O 0.427 0.934 0.577
O 0.429 0.070 0.923
O 0.560 0.255 0.742
O 0.568 0.393 0.803
O 0.572 0.402 0.090
O 0.573 0.065 0.420
O 0.573 0.936 0.075
O 0.574 0.605 0.412
O 0.575 0.616 0.699
O 0.579 0.274 0.031
O 0.582 0.062 0.135
O 0.582 0.733 0.468
O 0.583 0.938 0.363
O 0.587 0.741 0.757
O 0.595 0.075 0.740
O 0.604 0.746 0.072
O 0.605 0.078 0.032
O 0.607 0.590 0.086
O 0.608 0.926 0.467
O 0.610 0.742 0.365
O 0.610 0.922 0.757
O 0.612 0.262 0.134
O 0.615 0.408 0.693
O 0.619 0.259 0.419
O 0.619 0.413 0.412
O 0.625 0.600 0.800
O 0.664 0.849 0.257
O 0.680 0.178 0.925
O 0.681 0.822 0.576
O 0.683 0.159 0.241
O 0.688 0.842 0.966
O 0.693 0.497 0.914
O 0.696 0.513 0.585
O 0.698 0.488 0.197
O 0.700 0.823 0.862
O 0.702 0.181 0.633
O 0.703 0.159 0.531
O 0.703 0.511 0.300
O 0.788 0.683 0.131
O 0.792 0.020 0.800
O 0.793 0.987 0.699
O 0.800 0.656 0.030
O 0.804 0.016 0.084
O 0.804 0.324 0.079
O 0.806 0.682 0.420
O 0.806 0.989 0.413
O 0.808 0.345 0.468
O 0.809 0.327 0.364
O 0.814 0.662 0.740
O 0.827 0.339 0.751
O 0.871 0.236 0.866
O 0.872 0.099 0.299
O 0.873 0.913 0.195
O 0.876 0.764 0.635
O 0.881 0.910 0.914
O 0.884 0.755 0.922
O 0.886 0.433 0.968
O 0.888 0.419 0.255
O 0.890 0.250 0.576
O 0.890 0.573 0.531
O 0.891 0.574 0.244
O 0.892 0.095 0.587
O 0.911 0.228 0.968
O 0.912 0.773 0.532
O 0.912 0.901 0.586
O 0.913 0.100 0.913
O 0.914 0.241 0.257
O 0.918 0.116 0.198
O 0.918 0.450 0.866
O 0.920 0.564 0.634
O 0.927 0.575 0.925
O 0.928 0.434 0.577
O 0.930 0.897 0.304
O 0.933 0.760 0.246
CELL_PARAMETERS angstrom
9.001 0.000 0.000
-0.006 15.604 0.000
-0.026 -0.021 23.539
! SG: P1 (1)
! ΔE_f in kJ per mole of atoms: -243
! Total moment in μB per formula unit: 0.00

***

No. 2
! Sb4Xe2F19 (PBE-GGA, optimized geometry); values from VASP
&SYSTEM
  ibrav = 0, nat = 50, ntyp = 3
/
ATOMIC_SPECIES
Sb 121.76 Sb.upf
Xe 131.29 Xe.upf
F 19.00 F.upf
ATOMIC_POSITIONS crystal
Sb 0.188 0.082 0.155
Sb 0.188 0.418 0.655
Sb 0.234 0.097 0.497
Sb 0.234 0.403 0.997
Sb 0.766 0.597 0.003
Sb 0.766 0.903 0.503
Sb 0.812 0.582 0.345
Sb 0.812 0.918 0.845
Xe 0.311 0.579 0.351
Xe 0.311 0.921 0.851
Xe 0.689 0.079 0.149
Xe 0.689 0.421 0.649
F 0.000 0.000 0.000
F 0.000 0.500 0.500
F 0.019 0.024 0.403
F 0.019 0.476 0.903
F 0.027 0.158 0.155
F 0.027 0.342 0.655
F 0.152 0.227 0.570
F 0.152 0.273 0.070
F 0.189 0.607 0.708
F 0.189 0.893 0.208
F 0.223 0.234 0.921
F 0.223 0.266 0.421
F 0.306 0.553 0.953
F 0.306 0.947 0.453
F 0.315 0.021 0.120
F 0.315 0.479 0.620
F 0.356 0.171 0.289
F 0.356 0.329 0.789
F 0.436 0.114 0.642
F 0.436 0.386 0.142
F 0.564 0.614 0.858
F 0.564 0.886 0.358
F 0.644 0.671 0.211
F 0.644 0.829 0.711
F 0.685 0.521 0.380
F 0.685 0.979 0.880
F 0.694 0.053 0.547
F 0.694 0.447 0.047
F 0.777 0.734 0.579
F 0.777 0.766 0.079
F 0.811 0.107 0.792
F 0.811 0.393 0.292
F 0.848 0.727 0.930
F 0.848 0.773 0.430
F 0.973 0.658 0.345
F 0.973 0.842 0.845
F 0.981 0.524 0.097
F 0.981 0.976 0.597
CELL_PARAMETERS angstrom
10.952 0.000 0.000
0.000 8.930 0.000
-10.203 0.000 12.223
! SG: P2_1/c (14)
! ΔE_f in kJ per mole of atoms: -221
! Total moment in μB per formula unit: 1.00

***

No. 3
! SiO2 (PBE-GGA, optimized geometry); values from VASP
&SYSTEM
  ibrav = 0, nat = 96, ntyp = 2
/
ATOMIC_SPECIES
Si 28.09 Si.upf
O 16.00 O.upf
ATOMIC_POSITIONS crystal
Si 0.048 0.134 0.000
Si 0.072 0.428 0.344
Si 0.072 0.428 0.656
Si 0.081 0.292 0.142
Si 0.081 0.292 0.858
Si 0.134 0.952 0.000
Si 0.208 0.419 0.142
Si 0.208 0.419 0.858
Si 0.292 0.919 0.142
Si 0.292 0.919 0.858
Si 0.366 0.452 0.000
Si 0.419 0.792 0.142
Si 0.419 0.792 0.858
Si 0.428 0.928 0.344
Si 0.428 0.928 0.656
Si 0.452 0.634 0.000
Si 0.548 0.366 0.000
Si 0.572 0.072 0.344
Si 0.572 0.072 0.656
Si 0.581 0.208 0.142
Si 0.581 0.208 0.858
Si 0.634 0.548 0.000
Si 0.708 0.081 0.142
Si 0.708 0.081 0.858
Si 0.792 0.581 0.142
Si 0.792 0.581 0.858
Si 0.866 0.048 0.000
Si 0.919 0.708 0.142
Si 0.919 0.708 0.858
Si 0.928 0.572 0.344
Si 0.928 0.572 0.656
Si 0.952 0.866 0.000
O 0.000 0.500 0.332
O 0.000 0.500 0.668
O 0.038 0.341 0.270
O 0.038 0.341 0.730
O 0.041 0.328 0.000
O 0.051 0.892 0.000
O 0.069 0.190 0.136
O 0.069 0.190 0.864
O 0.092 0.408 0.500
O 0.108 0.051 0.000
O 0.159 0.462 0.270
O 0.159 0.462 0.730
O 0.172 0.459 0.000
O 0.183 0.317 0.149
O 0.183 0.317 0.851
O 0.190 0.931 0.136
O 0.190 0.931 0.864
O 0.310 0.431 0.136
O 0.310 0.431 0.864
O 0.317 0.817 0.149
O 0.317 0.817 0.851
O 0.328 0.959 0.000
O 0.341 0.962 0.270
O 0.341 0.962 0.730
O 0.392 0.551 0.000
O 0.408 0.908 0.500
O 0.431 0.690 0.136
O 0.431 0.690 0.864
O 0.449 0.392 0.000
O 0.459 0.828 0.000
O 0.462 0.841 0.270
O 0.462 0.841 0.730
O 0.500 0.000 0.332
O 0.500 0.000 0.668
O 0.538 0.159 0.270
O 0.538 0.159 0.730
O 0.541 0.172 0.000
O 0.551 0.608 0.000
O 0.569 0.310 0.136
O 0.569 0.310 0.864
O 0.592 0.092 0.500
O 0.608 0.449 0.000
O 0.659 0.038 0.270
O 0.659 0.038 0.730
O 0.672 0.041 0.000
O 0.683 0.183 0.149
O 0.683 0.183 0.851
O 0.690 0.569 0.136
O 0.690 0.569 0.864
O 0.810 0.069 0.136
O 0.810 0.069 0.864
O 0.817 0.683 0.149
O 0.817 0.683 0.851
O 0.828 0.541 0.000
O 0.841 0.538 0.270
O 0.841 0.538 0.730
O 0.892 0.949 0.000
O 0.908 0.592 0.500
O 0.931 0.810 0.136
O 0.931 0.810 0.864
O 0.949 0.108 0.000
O 0.959 0.672 0.000
O 0.962 0.659 0.270
O 0.962 0.659 0.730
CELL_PARAMETERS angstrom
15.805 0.000 0.000
0.000 15.805 0.000
0.000 0.000 9.959
! SG: P4/mbm (127)
! ΔE_f in kJ per mole of atoms: -307
! Total moment in μB per formula unit: 0.00

***

No. 4
! LiTi2O4 (PBE-GGA, optimized geometry); values from VASP
&SYSTEM
  ibrav = 0, nat = 14, ntyp = 3
/
ATOMIC_SPECIES
Li 6.94 Li.upf
Ti 47.87 Ti.upf
O 16.00 O.upf
ATOMIC_POSITIONS crystal
Li 0.000 0.187 0.000
Li 0.000 0.813 0.500
Ti 0.000 0.234 0.671
Ti 0.000 0.766 0.171
Ti 0.500 0.273 0.390
Ti 0.500 0.727 0.890
O 0.000 0.039 0.318
O 0.000 0.447 0.498
O 0.000 0.553 0.998
O 0.000 0.961 0.818
O 0.500 0.039 0.567
O 0.500 0.445 0.756
O 0.500 0.555 0.256
O 0.500 0.961 0.067
CELL_PARAMETERS angstrom
2.955 0.000 0.000
0.000 5.113 0.000
0.000 0.000 9.766
! Energy above the lowest structure with this stoichiometry in kJ/mol of atoms: 4.0
! SG: Pmc2_1 (26)
! ΔE_f in kJ per mole of atoms: -309
! Total moment in μB per formula unit: 1.00

***

No. 5
! NdNi2Sn2 (PBE-GGA, optimized geometry); values from VASP
&SYSTEM
  ibrav = 0, nat = 10, ntyp = 3
/
ATOMIC_SPECIES
Nd 144.24 Nd.upf
Ni 58.69 Ni.upf
Sn 118.71 Sn.upf
ATOMIC_POSITIONS crystal
Nd 0.250 0.250 0.241
Nd 0.750 0.750 0.759
Ni 0.250 0.250 0.627
Ni 0.250 0.750 0.000
Ni 0.750 0.250 0.000
Ni 0.750 0.750 0.373
Sn 0.250 0.250 0.875
Sn 0.250 0.750 0.500
Sn 0.750 0.250 0.500
Sn 0.750 0.750 0.125
CELL_PARAMETERS angstrom
4.471 0.000 0.000
0.000 4.471 0.000
0.000 0.000 10.128
! SG: P4/nmm (129)
! ΔE_f in kJ per mole of atoms: -51